A plane-wave DFT calculation with r²SCAN was carried out for a geometry-optimized DyZnRh structure.

Calculated values
uncorrected energy	-22.46	eV per atom
SG	Pnma, No. 62
calculated formation energy	-783	meV/atom

abc: 6.892 3.997 8.065
angles: 90.00 90.00 90.00
Element x y z (fractional)
Dy: 0.039 0.250 0.184
Dy: 0.461 0.750 0.684
Dy: 0.539 0.250 0.316
Dy: 0.961 0.750 0.816
Zn: 0.136 0.250 0.563
Zn: 0.364 0.750 0.063
Zn: 0.636 0.250 0.937
Zn: 0.864 0.750 0.437
Rh: 0.244 0.750 0.376
Rh: 0.256 0.250 0.876
Rh: 0.744 0.750 0.124
Rh: 0.756 0.250 0.624

***

A plane-wave DFT calculation with r²SCAN was carried out for a geometry-optimized Dy3Ru structure.

Calculated values
uncorrected energy	-30.69	eV per atom
SG	Pnma, No. 62
calculated formation energy	-352	meV/atom

abc: 7.269 9.131 6.320
angles: 90.00 90.00 90.00
Element x y z (fractional)
Dy: 0.044 0.250 0.132
Dy: 0.175 0.065 0.671
Dy: 0.175 0.435 0.671
Dy: 0.325 0.565 0.171
Dy: 0.325 0.935 0.171
Dy: 0.456 0.750 0.632
Dy: 0.544 0.250 0.368
Dy: 0.675 0.065 0.829
Dy: 0.675 0.435 0.829
Dy: 0.825 0.565 0.329
Dy: 0.825 0.935 0.329
Dy: 0.956 0.750 0.868
Ru: 0.114 0.750 0.466
Ru: 0.386 0.250 0.966
Ru: 0.614 0.750 0.034
Ru: 0.886 0.250 0.534

***

A plane-wave DFT calculation with r²SCAN was carried out for a geometry-optimized DySi2Ru2 structure.

Calculated values
uncorrected energy	-21.05	eV per atom
SG	I4/mmm, No. 139
calculated formation energy	-974	meV/atom

abc: 5.596 5.596 5.596
angles: 136.33 136.33 63.47
Element x y z (fractional)
Dy: 0.000 0.000 0.000
Si: 0.368 0.368 0.000
Si: 0.632 0.632 0.000
Ru: 0.250 0.750 0.500
Ru: 0.750 0.250 0.500

***

A plane-wave DFT calculation with r²SCAN was carried out for a geometry-optimized DySiRu structure.

Calculated values
uncorrected energy	-22.95	eV per atom
SG	Pnma, No. 62
calculated formation energy	-887	meV/atom

abc: 6.988 4.344 7.010
angles: 90.00 90.00 90.00
Element x y z (fractional)
Dy: 0.017 0.250 0.186
Dy: 0.483 0.750 0.686
Dy: 0.517 0.250 0.314
Dy: 0.983 0.750 0.814
Si: 0.194 0.250 0.607
Si: 0.306 0.750 0.107
Si: 0.694 0.250 0.893
Si: 0.806 0.750 0.393
Ru: 0.152 0.750 0.432
Ru: 0.348 0.250 0.932
Ru: 0.652 0.750 0.068
Ru: 0.848 0.250 0.568

***

A plane-wave DFT calculation with r²SCAN was carried out for a geometry-optimized DyTaRu2 structure.

Calculated values
uncorrected energy	-33.27	eV per atom
SG	Fm-3m, No. 225
calculated formation energy	-415	meV/atom

abc: 4.602 4.602 4.602
angles: 60.00 60.00 60.00
Element x y z (fractional)
Dy: 0.000 0.000 0.000
Ta: 0.500 0.500 0.500
Ru: 0.250 0.250 0.250
Ru: 0.750 0.750 0.750

***

A plane-wave DFT calculation with r²SCAN was carried out for a geometry-optimized DyThRu2 structure.

Calculated values
uncorrected energy	-39.53	eV per atom
SG	Fm-3m, No. 225
calculated formation energy	-452	meV/atom

abc: 4.904 4.904 4.904
angles: 60.00 60.00 60.00
Element x y z (fractional)
Dy: 0.000 0.000 0.000
Th: 0.500 0.500 0.500
Ru: 0.250 0.250 0.250
Ru: 0.750 0.750 0.750

***

A plane-wave DFT calculation with r²SCAN was carried out for a geometry-optimized DyTmRu2 structure.

Calculated values
uncorrected energy	-29.91	eV per atom
SG	Fm-3m, No. 225
calculated formation energy	-422	meV/atom

abc: 4.746 4.746 4.746
angles: 60.00 60.00 60.00
Element x y z (fractional)
Dy: 0.000 0.000 0.000
Tm: 0.500 0.500 0.500
Ru: 0.250 0.250 0.250
Ru: 0.750 0.750 0.750

***

A plane-wave DFT calculation with r²SCAN was carried out for a geometry-optimized DyZn20Ru2 structure.

Calculated values
uncorrected energy	-11.55	eV per atom
SG	Fd-3m, No. 227
calculated formation energy	-198	meV/atom

abc: 9.949 9.949 9.949
angles: 60.00 60.00 60.00
Element x y z (fractional)
Dy: 0.125 0.125 0.125
Dy: 0.875 0.875 0.875
Zn: 0.000 0.000 0.000
Zn: 0.000 0.000 0.500
Zn: 0.000 0.500 0.000
Zn: 0.056 0.325 0.325
Zn: 0.056 0.325 0.794
Zn: 0.056 0.794 0.325
Zn: 0.206 0.675 0.675
Zn: 0.206 0.675 0.944
Zn: 0.206 0.944 0.675
Zn: 0.238 0.238 0.512
Zn: 0.238 0.512 0.238
Zn: 0.238 0.512 0.512
Zn: 0.325 0.056 0.325
Zn: 0.325 0.056 0.794
Zn: 0.325 0.325 0.056
Zn: 0.325 0.325 0.794
Zn: 0.325 0.794 0.056
Zn: 0.325 0.794 0.325
Zn: 0.488 0.488 0.762
Zn: 0.488 0.762 0.488
Zn: 0.488 0.762 0.762
Zn: 0.500 0.000 0.000
Zn: 0.512 0.238 0.238
Zn: 0.512 0.238 0.512
Zn: 0.512 0.512 0.238
Zn: 0.675 0.206 0.675
Zn: 0.675 0.206 0.944
Zn: 0.675 0.675 0.206
Zn: 0.675 0.675 0.944
Zn: 0.675 0.944 0.206
Zn: 0.675 0.944 0.675
Zn: 0.762 0.488 0.488
Zn: 0.762 0.488 0.762
Zn: 0.762 0.762 0.488
Zn: 0.794 0.056 0.325
Zn: 0.794 0.325 0.056
Zn: 0.794 0.325 0.325
Zn: 0.944 0.206 0.675
Zn: 0.944 0.675 0.206
Zn: 0.944 0.675 0.675
Ru: 0.000 0.500 0.500
Ru: 0.500 0.000 0.500
Ru: 0.500 0.500 0.000
Ru: 0.500 0.500 0.500

***

A plane-wave DFT calculation with r²SCAN was carried out for a geometry-optimized DyZrRu2 structure.

Calculated values
uncorrected energy	-26.96	eV per atom
SG	Fm-3m, No. 225
calculated formation energy	-561	meV/atom

abc: 4.689 4.689 4.689
angles: 60.00 60.00 60.00
Element x y z (fractional)
Dy: 0.000 0.000 0.000
Zr: 0.500 0.500 0.500
Ru: 0.250 0.250 0.250
Ru: 0.750 0.750 0.750

***

A plane-wave DFT calculation with r²SCAN was carried out for a geometry-optimized Dy2S3 structure.

Calculated values
uncorrected energy	-19.96	eV per atom
SG	I-42d, No. 122
calculated formation energy	-2347	meV/atom

abc: 13.753 13.753 13.753
angles: 144.79 144.79 50.65
Element x y z (fractional)
Dy: 0.049 0.430 0.903
Dy: 0.164 0.164 0.000
Dy: 0.180 0.299 0.403
Dy: 0.223 0.820 0.120
Dy: 0.257 0.125 0.632
Dy: 0.375 0.743 0.868
Dy: 0.493 0.625 0.368
Dy: 0.527 0.147 0.097
Dy: 0.570 0.473 0.620
Dy: 0.586 0.086 0.500
Dy: 0.701 0.103 0.880
Dy: 0.836 0.836 0.000
Dy: 0.853 0.951 0.380
Dy: 0.875 0.507 0.132
Dy: 0.897 0.777 0.597
Dy: 0.914 0.414 0.500
S: 0.074 0.828 0.615
S: 0.172 0.788 0.246
S: 0.190 0.092 0.746
S: 0.193 0.596 0.754
S: 0.208 0.462 0.885
S: 0.212 0.458 0.385
S: 0.248 0.002 0.119
S: 0.346 0.443 0.254
S: 0.404 0.158 0.598
S: 0.502 0.121 0.254
S: 0.538 0.422 0.746
S: 0.542 0.926 0.754
S: 0.557 0.810 0.902
S: 0.560 0.807 0.402
S: 0.578 0.324 0.115
S: 0.676 0.792 0.254
S: 0.752 0.498 0.619
S: 0.842 0.440 0.246
S: 0.867 0.248 0.746
S: 0.871 0.752 0.754
S: 0.879 0.133 0.381
S: 0.883 0.129 0.881
S: 0.908 0.654 0.098
S: 0.998 0.117 0.246

***

A plane-wave DFT calculation with r²SCAN was carried out for a geometry-optimized Dy2S3 structure.

Calculated values
uncorrected energy	-19.99	eV per atom
SG	Pnma, No. 62
calculated formation energy	-2373	meV/atom

abc: 7.302 3.874 15.159
angles: 90.00 90.00 90.00
Element x y z (fractional)
Dy: 0.141 0.250 0.204
Dy: 0.234 0.750 0.457
Dy: 0.266 0.250 0.957
Dy: 0.359 0.750 0.704
Dy: 0.641 0.250 0.296
Dy: 0.734 0.750 0.043
Dy: 0.766 0.250 0.543
Dy: 0.859 0.750 0.796
S: 0.011 0.250 0.393
S: 0.124 0.750 0.068
S: 0.151 0.250 0.782
S: 0.349 0.750 0.282
S: 0.376 0.250 0.568
S: 0.489 0.750 0.893
S: 0.511 0.250 0.107
S: 0.624 0.750 0.432
S: 0.651 0.250 0.718
S: 0.849 0.750 0.218
S: 0.876 0.250 0.932
S: 0.989 0.750 0.607

***

A plane-wave DFT calculation with r²SCAN was carried out for a geometry-optimized Dy2S3 structure.

Calculated values
uncorrected energy	-19.99	eV per atom
SG	Pnma, No. 62
calculated formation energy	-2380	meV/atom

abc: 10.610 3.859 10.476
angles: 90.00 90.00 90.00
Element x y z (fractional)
Dy: 0.010 0.250 0.187
Dy: 0.192 0.250 0.504
Dy: 0.308 0.750 0.004
Dy: 0.490 0.750 0.687
Dy: 0.510 0.250 0.313
Dy: 0.692 0.250 0.996
Dy: 0.808 0.750 0.496
Dy: 0.990 0.750 0.813
S: 0.046 0.750 0.373
S: 0.119 0.250 0.945
S: 0.227 0.750 0.695
S: 0.273 0.250 0.195
S: 0.381 0.750 0.445
S: 0.454 0.250 0.873
S: 0.546 0.750 0.127
S: 0.619 0.250 0.555
S: 0.727 0.750 0.805
S: 0.773 0.250 0.305
S: 0.881 0.750 0.055
S: 0.954 0.250 0.627